Record 1
144
Lattice="0.000 -0.003 10.807 11.347 0.000 0.000 -5.674 15.606 -5.407" Properties=species:S:1:pos:R:3 comment="LaSmNi2O5 | the Materials Project database | GGA+U | relaxed" dft_energy_ev_per_cell=-962.3 space_group="No. 1" delta_e_f_ev_per_atom=-2.52 magnetic_moment_mub_per_fu=3.99 corrected_energy_ev_per_fu=-68.66 pbc="T T T"
O 4.287 7.554 -1.312
O 1.458 15.294 1.380
Ni 2.542 11.754 2.521
O -0.386 9.964 0.176
Ni -0.334 3.837 5.219
Ni 5.362 3.856 -0.160
O 1.498 15.340 -4.058
O 4.222 0.341 6.792
La 2.759 6.066 0.043
O -3.491 11.711 5.908
Ni 3.188 3.854 2.518
O 7.068 8.018 -1.302
Ni 8.504 7.791 2.761
O 3.445 3.804 5.884
O 6.231 11.726 3.160
O 0.457 2.123 5.661
Ni 8.812 3.860 2.495
Ni 5.675 0.027 0.067
O 0.407 5.624 0.155
O 2.379 2.146 2.971
La 2.760 6.068 5.421
Ni -3.193 11.727 2.523
O -2.383 13.469 2.872
La 2.928 9.533 5.427
Sm 2.726 1.679 5.408
O 8.050 2.133 2.946
O 4.218 0.373 1.380
O 9.962 0.302 9.488
O -1.418 7.500 -1.291
Ni 3.169 3.839 7.924
O 5.282 9.951 5.546
O 0.625 11.793 3.171
O -2.395 13.480 -2.529
O 2.263 11.802 0.494
O -1.449 7.538 6.787
La -0.090 9.507 -2.668
O 3.280 13.490 -2.441
O 8.090 5.645 2.851
O 5.116 3.894 3.149
O -2.468 9.964 -2.528
Sm 5.799 6.120 2.715
La -2.759 9.498 5.421
La -2.760 9.491 0.047
O -4.335 15.318 4.047
O 0.386 5.625 5.550
Sm 5.546 13.958 -2.700
O -0.595 3.790 8.588
O 0.645 11.720 -2.180
La -0.083 9.531 2.736
O 9.104 3.809 5.898
Ni -0.009 7.783 0.066
La 0.078 6.053 2.719
O 3.263 9.967 2.850
O -1.489 7.490 1.357
O 4.304 0.327 9.476
O 0.450 2.136 0.259
Ni 8.503 0.013 8.178
La -2.762 13.911 5.418
O 8.126 5.617 8.340
O 9.976 0.302 4.077
O -4.241 15.342 1.397
O 1.401 8.063 4.085
O 1.411 15.350 -1.297
Ni -3.192 11.737 -2.875
La 5.770 6.065 8.141
O 4.304 0.363 4.082
Sm 2.956 13.968 5.390
Sm 8.397 1.665 5.400
O 6.065 5.638 5.547
O 1.450 8.053 6.784
Ni 0.003 7.787 5.460
Ni 2.840 0.019 8.174
O 4.228 7.550 6.781
O -1.392 7.543 4.078
O 5.295 9.956 0.234
O -0.378 9.979 5.549
O 7.022 8.067 4.044
La 2.931 9.530 0.044
O 8.047 2.114 8.368
Sm 8.403 1.694 0.002
O 7.121 8.031 6.787
Sm 0.122 1.663 2.706
O 4.321 7.534 4.049
Ni 5.968 11.742 -0.155
Sm 5.556 9.473 2.721
O 1.369 15.301 4.073
O 3.300 13.484 2.961
Ni 0.352 11.751 5.198
O 6.252 11.807 -2.191
O 2.459 5.627 8.262
Ni 5.672 7.793 0.071
Ni 2.538 11.751 -2.882
Ni -0.006 0.021 0.067
La -2.756 13.911 0.035
La 0.080 6.048 8.149
O -4.328 15.334 -1.352
O -3.476 11.718 0.507
O 9.072 3.888 0.452
O -4.237 15.358 -4.009
Sm 5.781 1.719 2.698
O 2.373 2.126 8.372
O 3.442 3.805 0.480
O -0.432 13.488 5.573
O 5.079 3.812 8.604
O 5.226 13.484 0.266
O 5.232 13.479 5.646
O -2.443 9.961 2.861
Ni 5.357 3.850 5.196
Ni 2.845 0.032 2.770
Sm 5.550 13.922 2.701
Sm 8.381 6.090 0.034
Sm -0.095 13.947 2.715
O 4.266 7.530 1.419
Ni 5.673 0.021 5.475
Ni 8.517 0.027 2.768
Ni 2.837 7.791 -2.640
Ni -0.006 0.018 5.473
O 1.384 8.051 -1.316
O 6.153 2.132 0.258
La 8.419 6.048 5.410
Sm 0.114 1.644 8.106
O -0.421 13.478 0.250
Ni 5.674 7.789 5.455
O 7.091 8.037 1.411
Sm 5.785 1.676 8.110
O 9.887 0.308 1.376
Sm 2.721 1.686 -0.004
La -0.057 13.926 -2.693
O 2.250 11.814 5.895
O 9.870 0.292 6.776
Ni -0.348 3.851 -0.186
Ni 8.835 3.838 7.941
O 6.083 5.636 0.225
Ni 5.965 11.735 5.194
Ni 0.350 11.740 -0.153
O 6.146 2.134 5.655
Ni 8.513 7.780 -2.633
O 1.451 8.059 1.382
O 2.441 5.634 2.851
Ni 2.844 7.784 2.762
La 5.597 9.522 -2.682
Sm 2.953 13.960 0.014
O 3.247 9.970 -2.545
O -0.621 3.805 3.182

---

Record 2
14
Lattice="2.739 -6.195 0.000 2.739 6.195 0.000 0.000 0.000 5.480" Properties=species:S:1:pos:R:3 comment="Sr3LaNi2O8 | the Materials Project database | GGA+U | relaxed" dft_energy_ev_per_cell=-84.7 space_group="No. 38" delta_e_f_ev_per_atom=-2.44 magnetic_moment_mub_per_fu=1.00 corrected_energy_ev_per_fu=-95.26 pbc="T T T"
O 4.136 -0.039 4.083
O 2.739 2.072 2.740
La 2.739 4.477 2.740
O 4.136 -0.039 1.397
O 1.343 -0.039 4.083
Sr 2.739 -1.752 0.000
O 2.739 4.213 0.000
O 2.739 -4.231 0.000
Sr 2.739 -4.438 2.740
O 2.739 -1.964 2.740
Ni 2.739 -6.174 0.000
Ni 2.739 0.035 2.740
O 1.343 -0.039 1.397
Sr 2.739 1.722 0.000

---

Record 3
10
Lattice="2.688 1.645 4.634 -2.782 0.445 4.844 0.962 -3.663 4.131" Properties=species:S:1:pos:R:3 comment="La2TcNiO6 | the Materials Project database | GGA+U | relaxed" dft_energy_ev_per_cell=-75.6 space_group="No. 225" delta_e_f_ev_per_atom=-2.65 magnetic_moment_mub_per_fu=5.00 corrected_energy_ev_per_fu=-82.24 pbc="T T T"
La 0.217 -0.393 3.402
O 2.037 -1.401 7.781
O -0.689 -1.999 7.886
O 0.171 0.647 8.137
O 1.558 0.425 5.723
La 0.651 -1.180 10.207
O 0.697 -2.220 5.472
Ni 0.000 0.000 0.000
O -1.169 -0.173 5.828
Tc 0.434 -0.787 6.804

---

Record 4
10
Lattice="0.000 3.944 3.944 3.944 0.000 3.944 3.944 3.944 0.000" Properties=species:S:1:pos:R:3 comment="La2TiNiO6 | the Materials Project database | GGA+U | relaxed" dft_energy_ev_per_cell=-78.8 space_group="No. 225" delta_e_f_ev_per_atom=-3.22 magnetic_moment_mub_per_fu=2.00 corrected_energy_ev_per_fu=-85.47 pbc="T T T"
Ni 0.000 0.000 0.000
O 3.944 2.004 3.944
La 1.972 1.972 1.972
O 3.944 3.944 5.884
La 5.916 5.916 5.916
O 3.944 5.884 3.944
O 2.004 3.944 3.944
O 5.884 3.944 3.944
O 3.944 3.944 2.004
Ti 3.944 3.944 3.944

---

Record 5
40
Lattice="4.551 0.000 -3.230 0.000 11.283 0.000 4.573 0.000 6.453" Properties=species:S:1:pos:R:3 comment="La2TiNiO6 | the Materials Project database | GGA+U | relaxed" dft_energy_ev_per_cell=-318.9 delta_e_f_ev_per_atom=-3.32 magnetic_moment_mub_per_fu=0.00 corrected_energy_ev_per_fu=-86.40 pbc="T T T"
O 8.000 1.595 3.587
Ni 2.286 11.283 3.227
O 8.000 7.237 3.588
O 3.438 6.867 1.977
O 5.686 10.057 1.247
Ti 4.562 2.821 1.611
O 3.087 3.968 2.247
O 1.475 6.788 -0.635
O 5.297 8.345 3.442
La 5.744 5.865 3.204
O 3.827 2.939 -0.219
La 5.745 0.223 3.204
Ti 4.562 8.463 1.611
La 3.380 5.420 0.019
O 5.286 0.117 -1.399
O 3.438 1.226 1.975
La 3.378 11.060 0.019
O 1.124 9.687 -0.364
La 1.183 8.239 1.593
O 3.838 11.165 4.623
O 5.297 2.704 3.442
O 7.648 4.495 3.857
O 3.827 8.577 -0.219
O 3.086 9.608 2.246
Ni 6.837 5.641 -0.004
O 7.648 10.137 3.859
La 7.940 3.045 1.630
O 5.287 5.757 -1.400
Ti 4.551 11.282 -3.230
La 1.183 2.599 1.593
Ti 4.573 5.642 6.453
O 1.123 4.046 -0.365
La 7.941 8.683 1.630
Ni 6.848 2.821 4.838
O 5.686 4.417 1.247
O 3.837 5.528 4.623
O 1.476 1.146 -0.635
O 6.037 1.675 0.976
Ni 2.275 8.463 -1.615
O 6.036 7.315 0.976

---

Record 6
14
Lattice="-0.833 2.404 2.865 -3.482 0.575 -1.494 -4.367 -9.351 6.577" Properties=species:S:1:pos:R:3 comment="LaTiNiO4 | the Materials Project database | GGA+U | relaxed" dft_energy_ev_per_cell=-106.3 space_group="No. 129" delta_e_f_ev_per_atom=-2.86 magnetic_moment_mub_per_fu=1.00 corrected_energy_ev_per_fu=-58.45 pbc="T T T"
Ti -2.338 -1.952 2.239
O -6.092 -5.977 4.525
O -2.992 -3.352 3.224
O -5.690 -3.020 4.724
Ni -5.003 -3.644 2.884
O -3.913 -1.310 1.243
La -4.937 -7.519 6.155
Ni -3.679 -2.729 5.064
O -7.272 -6.408 7.107
O -4.768 -5.062 6.705
O -1.410 0.036 0.841
O -2.589 -0.395 3.423
La -3.744 1.147 1.793
Ti -6.343 -4.420 5.709